(1)
A plane-wave DFT calculation with PBE was carried out for a relaxed La2Zr2SiS5O24 crystal.

Crystal system: triclinic
Calculated density: 2.8 g/cm3
Energy with MP2020 corrections: -263.6 eV per formula unit
SG: No. 1
Calculated total energy: -7.27 eV per atom

Cell: 9.3378 9.3866 24.0530 Å, 89.78 89.95 60.18°
With the nearest neighbours (Å) after each atom.
Element x y z (fractional)
La: 0.0000 0.0000 0.0000  3 O 2.17-2.40
La: 0.0030 0.9943 0.1982  3 O 2.17-2.43
La: 0.3241 0.3282 0.8756  6 O 2.36-2.39
La: 0.3335 0.3272 0.3794  2 O 2.16-2.40
La: 0.6574 0.6651 0.8190  6 O 2.36-2.39
La: 0.9818 0.9930 0.6962  3 O 2.17-2.39
Zr: 0.3249 0.3202 0.1621  1 O 1.92
Zr: 0.3322 0.3215 0.6540  3 O 1.94-2.14
Zr: 0.6515 0.6695 0.0374  5 O 1.93-2.14
Zr: 0.6547 0.6621 0.5369  6 O 1.99-2.17
Zr: 0.6582 0.6546 0.3285  2 O 1.93-2.14
Zr: 0.9685 0.0071 0.4924  2 O 1.95
Si: 0.2977 0.9970 0.0981  4 O 1.62-1.67
Si: 0.6711 0.3806 0.4338  4 O 1.61-1.69
Si: 0.6936 0.9947 0.5944  4 O 1.61-1.68
S: 0.0270 0.3472 0.2652  4 O 1.47-1.51
S: 0.0477 0.6066 0.7604  4 O 1.47-1.49
S: 0.2872 0.6968 0.5948  4 O 1.47-1.51
S: 0.3227 0.0522 0.7598  4 O 1.46-1.51
S: 0.3388 0.6114 0.2652  4 O 1.47-1.52
S: 0.3732 0.9286 0.4335  4 O 1.47-1.51
S: 0.3780 0.6621 0.9341  4 O 1.47-1.50
S: 0.6016 0.3313 0.7603  4 O 1.47-1.50
S: 0.6066 0.0337 0.2641  4 O 1.47-1.52
S: 0.6597 0.9424 0.9346  4 O 1.46-1.50
S: 0.6769 0.3083 0.0982  4 O 1.47-1.50
S: 0.9250 0.6787 0.4333  4 O 1.47-1.51
S: 0.9351 0.3843 0.9341  4 O 1.47-1.49
S: 0.9931 0.2935 0.5943  4 O 1.47-1.51
S: 0.9929 0.6826 0.0984  4 O 1.47-1.50
O: 0.0245 0.1793 0.5470  1 S 1.49
O: 0.0300 0.7710 0.7561  1 S 1.47
O: 0.0310 0.7519 0.0492  1 S 1.47
O: 0.0885 0.5324 0.4275  1 S 1.47
O: 0.1000 0.3711 0.9326  1 S 1.48
O: 0.1132 0.3674 0.2150  1 S 1.51
O: 0.1291 0.3191 0.3147  1 S 1.47
O: 0.1378 0.5179 0.1125  1 S 1.50
O: 0.1376 0.5296 0.8128  1 S 1.49
O: 0.1389 0.5050 0.7113  1 S 1.49
O: 0.1424 0.3116 0.6044  1 S 1.51
O: 0.1756 0.7789 0.5471  1 S 1.48
O: 0.1780 0.0323 0.7529  1 S 1.46
O: 0.1796 0.0400 0.0442  1 Si 1.62
O: 0.1966 0.7776 0.2573  1 S 1.47
O: 0.2102 0.9411 0.4423  1 S 1.48
O: 0.2121 0.8054 0.9401  1 S 1.47
O: 0.2180 0.9567 0.1516  1 Si 1.62
O: 0.2269 0.7967 0.6455  1 S 1.47
O: 0.3052 0.5304 0.6056  1 S 1.51
O: 0.3081 0.1428 0.8117  1 S 1.48
O: 0.3130 0.5353 0.3150  1 S 1.47
O: 0.3220 0.1561 0.1158  1 Si 1.67
O: 0.3342 0.1466 0.7107  1 S 1.51
O: 0.3553 0.0926 0.4271  1 S 1.47
O: 0.3625 0.5085 0.2151  1 S 1.49
O: 0.3694 0.5090 0.9330  1 S 1.48
O: 0.4541 0.6791 0.8823  1 S 1.48
O: 0.4562 0.6695 0.5830  1 S 1.50
O: 0.4564 0.8301 0.3820  1 S 1.51
O: 0.4760 0.8907 0.7617  1 S 1.48
O: 0.4795 0.8486 0.4825  1 S 1.48
O: 0.4810 0.8404 0.0819  1 Si 1.66
O: 0.4824 0.6517 0.9829  1 S 1.50
O: 0.4909 0.6282 0.2743  1 S 1.52
O: 0.4973 0.1234 0.2145  1 S 1.52
O: 0.4974 0.3414 0.7112  1 S 1.50
O: 0.5060 0.1037 0.9330  1 S 1.48
O: 0.5088 0.3339 0.1122  1 S 1.50
O: 0.5101 0.1600 0.6084  1 Si 1.68
O: 0.5128 0.3574 0.4269  1 Si 1.61
O: 0.5262 0.3141 0.8123  1 S 1.48
O: 0.5321 0.1358 0.3136  1 S 1.47
O: 0.6105 0.4843 0.7618  1 S 1.48
O: 0.6160 0.8712 0.2722  1 S 1.50
O: 0.6487 0.8477 0.9833  1 S 1.50
O: 0.6555 0.4966 0.4856  1 Si 1.62
O: 0.6563 0.4734 0.0848  1 S 1.50
O: 0.6627 0.8455 0.5764  1 Si 1.62
O: 0.6740 0.8514 0.8828  1 S 1.48
O: 0.6898 0.4761 0.3768  1 Si 1.69
O: 0.7433 0.2001 0.0495  1 S 1.47
O: 0.7676 0.1883 0.7548  1 S 1.47
O: 0.7717 0.0100 0.2529  1 S 1.47
O: 0.7868 0.2377 0.1467  1 S 1.47
O: 0.7949 0.0264 0.5424  1 Si 1.68
O: 0.8044 0.9563 0.6496  1 Si 1.61
O: 0.8043 0.9624 0.9421  1 S 1.46
O: 0.8241 0.7027 0.3817  1 S 1.51
O: 0.8381 0.1976 0.4452  1 Si 1.67
O: 0.8416 0.6591 0.4823  1 S 1.47
O: 0.8444 0.4625 0.8820  1 S 1.48
O: 0.8441 0.4858 0.9830  1 S 1.49
O: 0.8510 0.6559 0.0851  1 S 1.50
O: 0.8534 0.4610 0.5818  1 S 1.49
O: 0.8624 0.5024 0.2730  1 S 1.51
O: 0.8825 0.6201 0.7623  1 S 1.48
O: 0.9442 0.8266 0.4413  1 S 1.50
O: 0.9503 0.7934 0.1465  1 S 1.48
O: 0.9516 0.2204 0.9389  1 S 1.47
O: 0.9552 0.2317 0.6451  1 S 1.47
O: 0.9959 0.2103 0.2554  1 S 1.47



(2)
A plane-wave DFT calculation with PBE was carried out for a relaxed La6Ti2S8O5 crystal.

Crystal system: monoclinic
Calculated density: 5.0 g/cm3
Energy with MP2020 corrections: -164.5 eV per formula unit
SG: No. 11
Calculated total energy: -7.48 eV per atom

Cell: 12.7707 4.0204 16.4857 Å, 90.00 97.04 90.00°
With the nearest neighbours (Å) after each atom.
Element x y z (fractional)
La: 0.0016 0.2500 0.1195  5 S 2.83-2.99
La: 0.0682 0.2500 0.3826  7 S 2.91-3.03, 1 O 3.05
La: 0.2691 0.7500 0.6023  4 O 2.49-2.65
La: 0.3200 0.7500 0.1487  1 O 2.45
La: 0.3848 0.7500 0.8984  2 O 2.44
La: 0.3959 0.2500 0.3738  3 O 2.50-2.80
La: 0.6041 0.7500 0.6262  3 O 2.50-2.80
La: 0.6152 0.2500 0.1016  2 O 2.44
La: 0.6800 0.2500 0.8513  1 O 2.45
La: 0.7309 0.2500 0.3977  4 O 2.49-2.65
La: 0.9318 0.7500 0.6175  7 S 2.91-3.03, 1 O 3.05
La: 0.9984 0.7500 0.8805  5 S 2.83-2.99
Ti: 0.1533 0.2500 0.7324  3 O 1.91-2.03
Ti: 0.4411 0.2500 0.7260  5 O 1.86-2.02
Ti: 0.5589 0.7500 0.2740  5 O 1.86-2.02
Ti: 0.8467 0.7500 0.2676  3 O 1.91-2.03
S: 0.0307 0.7500 0.2543  1 Ti 2.39
S: 0.0866 0.2500 0.5678  1 Ti 2.74, 3 La 3.00-3.03
S: 0.1134 0.7500 0.0456  4 La 2.83-2.96
S: 0.1955 0.2500 0.8734  1 Ti 2.32
S: 0.2256 0.2500 0.2308  3 La 2.78-3.01
S: 0.2356 0.7500 0.4237  5 La 2.92-3.05
S: 0.3921 0.2500 0.0351  5 La 2.92-3.01
S: 0.4303 0.2500 0.5611  1 Ti 2.70, 2 O 2.99, 2 La 3.01
S: 0.5697 0.7500 0.4389  1 Ti 2.70, 2 O 2.99, 2 La 3.01
S: 0.6079 0.7500 0.9649  5 La 2.92-3.01
S: 0.7644 0.2500 0.5763  5 La 2.92-3.05
S: 0.7744 0.7500 0.7692  3 La 2.78-3.01
S: 0.8045 0.7500 0.1266  1 Ti 2.32
S: 0.8866 0.2500 0.9544  4 La 2.83-2.96
S: 0.9134 0.7500 0.4322  1 Ti 2.74, 3 La 3.00-3.03
S: 0.9693 0.2500 0.7457  1 Ti 2.39
O: 0.1496 0.7500 0.7172  2 Ti 2.03
O: 0.2871 0.2500 0.6919  2 Ti 1.91-1.98
O: 0.4154 0.7500 0.2870  1 Ti 1.87
O: 0.4331 0.7500 0.7172  2 Ti 2.02
O: 0.4528 0.2500 0.8394  1 Ti 1.86
O: 0.5472 0.7500 0.1606  1 Ti 1.86
O: 0.5669 0.2500 0.2828  2 Ti 2.02
O: 0.5846 0.2500 0.7130  1 Ti 1.87
O: 0.7129 0.7500 0.3081  2 Ti 1.91-1.98
O: 0.8504 0.2500 0.2828  2 Ti 2.03